Below is crystalline SiO2 at its relaxed geometry, with properties calculated at the PBE level.

abc: 13.541 19.995 20.372
angles: 90.01 90.02 90.00
Atoms (fractional coordinates):
Si (0.027, 0.328, 0.384)
Si (0.028, 0.173, 0.384)
Si (0.031, 0.330, 0.231)
Si (0.032, 0.170, 0.231)
Si (0.032, 0.565, 0.377)
Si (0.033, 0.936, 0.377)
Si (0.037, 0.556, 0.221)
Si (0.038, 0.944, 0.221)
Si (0.171, 0.059, 0.424)
Si (0.171, 0.441, 0.424)
Si (0.180, 0.032, 0.572)
Si (0.180, 0.468, 0.572)
Si (0.181, 0.030, 0.812)
Si (0.182, 0.470, 0.812)
Si (0.182, 0.629, 0.809)
Si (0.182, 0.672, 0.424)
Si (0.182, 0.871, 0.809)
Si (0.183, 0.673, 0.187)
Si (0.183, 0.827, 0.188)
Si (0.183, 0.828, 0.424)
Si (0.184, 0.874, 0.570)
Si (0.185, 0.627, 0.570)
Si (0.187, 0.434, 0.192)
Si (0.188, 0.067, 0.192)
Si (0.311, 0.067, 0.691)
Si (0.312, 0.433, 0.691)
Si (0.315, 0.627, 0.070)
Si (0.316, 0.827, 0.688)
Si (0.316, 0.873, 0.070)
Si (0.317, 0.673, 0.688)
Si (0.318, 0.629, 0.309)
Si (0.318, 0.672, 0.924)
Si (0.318, 0.828, 0.924)
Si (0.318, 0.871, 0.309)
Si (0.319, 0.032, 0.073)
Si (0.319, 0.468, 0.073)
Si (0.319, 0.470, 0.312)
Si (0.320, 0.030, 0.312)
Si (0.329, 0.059, 0.925)
Si (0.330, 0.442, 0.925)
Si (0.460, 0.945, 0.721)
Si (0.461, 0.556, 0.721)
Si (0.468, 0.170, 0.731)
Si (0.468, 0.330, 0.731)
Si (0.468, 0.564, 0.877)
Si (0.468, 0.936, 0.877)
Si (0.472, 0.173, 0.884)
Si (0.472, 0.327, 0.884)
Si (0.528, 0.673, 0.116)
Si (0.528, 0.827, 0.116)
Si (0.532, 0.064, 0.123)
Si (0.532, 0.436, 0.123)
Si (0.532, 0.670, 0.269)
Si (0.532, 0.830, 0.269)
Si (0.539, 0.444, 0.279)
Si (0.540, 0.055, 0.279)
Si (0.670, 0.558, 0.075)
Si (0.671, 0.941, 0.075)
Si (0.680, 0.970, 0.688)
Si (0.681, 0.530, 0.688)
Si (0.681, 0.532, 0.927)
Si (0.681, 0.968, 0.927)
Si (0.682, 0.129, 0.691)
Si (0.682, 0.172, 0.076)
Si (0.682, 0.328, 0.076)
Si (0.682, 0.371, 0.691)
Si (0.683, 0.327, 0.312)
Si (0.684, 0.127, 0.930)
Si (0.684, 0.173, 0.312)
Si (0.685, 0.373, 0.930)
Si (0.688, 0.567, 0.309)
Si (0.689, 0.933, 0.309)
Si (0.812, 0.933, 0.808)
Si (0.813, 0.566, 0.808)
Si (0.815, 0.373, 0.430)
Si (0.816, 0.126, 0.430)
Si (0.817, 0.172, 0.576)
Si (0.817, 0.173, 0.812)
Si (0.817, 0.327, 0.813)
Si (0.818, 0.129, 0.191)
Si (0.818, 0.328, 0.576)
Si (0.818, 0.371, 0.191)
Si (0.818, 0.530, 0.188)
Si (0.819, 0.970, 0.188)
Si (0.820, 0.532, 0.428)
Si (0.820, 0.968, 0.428)
Si (0.829, 0.559, 0.576)
Si (0.829, 0.941, 0.576)
Si (0.962, 0.056, 0.779)
Si (0.963, 0.444, 0.779)
Si (0.967, 0.064, 0.623)
Si (0.968, 0.435, 0.623)
Si (0.968, 0.830, 0.769)
Si (0.969, 0.670, 0.769)
Si (0.972, 0.827, 0.616)
Si (0.973, 0.672, 0.616)
O (0.014, 0.554, 0.299)
O (0.014, 0.946, 0.299)
O (0.021, 0.148, 0.308)
O (0.021, 0.353, 0.308)
O (0.040, 0.250, 0.222)
O (0.063, 0.250, 0.389)
O (0.063, 0.859, 0.809)
O (0.064, 0.045, 0.819)
O (0.064, 0.641, 0.809)
O (0.065, 0.455, 0.819)
O (0.072, 0.066, 0.585)
O (0.073, 0.434, 0.585)
O (0.080, 0.835, 0.582)
O (0.081, 0.665, 0.583)
O (0.085, 0.628, 0.200)
O (0.086, 0.636, 0.392)
O (0.086, 0.873, 0.200)
O (0.087, 0.865, 0.392)
O (0.098, 0.503, 0.405)
O (0.098, 0.998, 0.405)
O (0.108, 0.372, 0.423)
O (0.110, 0.129, 0.423)
O (0.113, 0.496, 0.203)
O (0.114, 0.004, 0.203)
O (0.130, 0.363, 0.199)
O (0.131, 0.137, 0.199)
O (0.147, 0.750, 0.192)
O (0.155, 0.750, 0.435)
O (0.171, 0.548, 0.588)
O (0.172, 0.952, 0.589)
O (0.208, 0.550, 0.811)
O (0.208, 0.950, 0.811)
O (0.215, 0.046, 0.498)
O (0.215, 0.454, 0.497)
O (0.215, 0.637, 0.493)
O (0.215, 0.864, 0.493)
O (0.222, 0.064, 0.745)
O (0.223, 0.436, 0.745)
O (0.224, 0.835, 0.874)
O (0.225, 0.666, 0.874)
O (0.227, 0.658, 0.114)
O (0.229, 0.839, 0.742)
O (0.229, 0.842, 0.115)
O (0.230, 0.660, 0.742)
O (0.232, 0.437, 0.118)
O (0.233, 0.064, 0.119)
O (0.235, 0.063, 0.876)
O (0.237, 0.437, 0.875)
O (0.264, 0.066, 0.618)
O (0.264, 0.436, 0.375)
O (0.265, 0.434, 0.618)
O (0.266, 0.064, 0.375)
O (0.269, 0.660, 0.242)
O (0.270, 0.840, 0.242)
O (0.272, 0.842, 0.615)
O (0.273, 0.658, 0.615)
O (0.276, 0.665, 0.374)
O (0.277, 0.835, 0.374)
O (0.278, 0.436, 0.244)
O (0.279, 0.064, 0.245)
O (0.285, 0.047, 0.998)
O (0.285, 0.453, 0.998)
O (0.286, 0.637, 0.993)
O (0.286, 0.863, 0.993)
O (0.292, 0.549, 0.311)
O (0.293, 0.951, 0.311)
O (0.330, 0.548, 0.088)
O (0.330, 0.952, 0.088)
O (0.347, 0.750, 0.935)
O (0.353, 0.750, 0.691)
O (0.370, 0.137, 0.699)
O (0.370, 0.363, 0.699)
O (0.385, 0.004, 0.700)
O (0.386, 0.497, 0.700)
O (0.390, 0.129, 0.923)
O (0.392, 0.372, 0.924)
O (0.404, 0.503, 0.908)
O (0.404, 0.997, 0.908)
O (0.414, 0.865, 0.891)
O (0.414, 0.872, 0.702)
O (0.415, 0.628, 0.702)
O (0.415, 0.635, 0.891)
O (0.419, 0.666, 0.083)
O (0.420, 0.835, 0.083)
O (0.425, 0.433, 0.087)
O (0.426, 0.067, 0.087)
O (0.436, 0.250, 0.888)
O (0.436, 0.455, 0.319)
O (0.436, 0.641, 0.308)
O (0.436, 0.859, 0.308)
O (0.437, 0.045, 0.319)
O (0.460, 0.250, 0.722)
O (0.478, 0.147, 0.808)
O (0.478, 0.353, 0.808)
O (0.482, 0.551, 0.799)
O (0.482, 0.949, 0.799)
O (0.518, 0.051, 0.201)
O (0.518, 0.449, 0.201)
O (0.522, 0.647, 0.192)
O (0.522, 0.853, 0.192)
O (0.540, 0.750, 0.278)
O (0.563, 0.955, 0.681)
O (0.564, 0.141, 0.692)
O (0.564, 0.359, 0.692)
O (0.564, 0.545, 0.681)
O (0.564, 0.750, 0.112)
O (0.574, 0.933, 0.913)
O (0.575, 0.567, 0.913)
O (0.580, 0.165, 0.917)
O (0.581, 0.334, 0.917)
O (0.585, 0.365, 0.109)
O (0.585, 0.372, 0.298)
O (0.586, 0.128, 0.298)
O (0.586, 0.135, 0.109)
O (0.596, 0.003, 0.092)
O (0.596, 0.497, 0.092)
O (0.608, 0.628, 0.076)
O (0.610, 0.871, 0.077)
O (0.614, 0.503, 0.300)
O (0.615, 0.996, 0.300)
O (0.630, 0.637, 0.301)
O (0.630, 0.863, 0.301)
O (0.647, 0.250, 0.309)
O (0.653, 0.250, 0.065)
O (0.670, 0.048, 0.912)
O (0.670, 0.452, 0.912)
O (0.707, 0.049, 0.689)
O (0.708, 0.451, 0.689)
O (0.714, 0.137, 0.007)
O (0.714, 0.363, 0.007)
O (0.715, 0.547, 0.002)
O (0.715, 0.953, 0.002)
O (0.721, 0.936, 0.755)
O (0.722, 0.564, 0.756)
O (0.723, 0.165, 0.626)
O (0.724, 0.335, 0.626)
O (0.727, 0.342, 0.385)
O (0.728, 0.158, 0.385)
O (0.730, 0.160, 0.758)
O (0.731, 0.340, 0.758)
O (0.734, 0.936, 0.625)
O (0.735, 0.566, 0.382)
O (0.736, 0.564, 0.625)
O (0.736, 0.934, 0.382)
O (0.763, 0.563, 0.125)
O (0.765, 0.937, 0.124)
O (0.767, 0.936, 0.881)
O (0.768, 0.563, 0.882)
O (0.770, 0.340, 0.258)
O (0.771, 0.158, 0.885)
O (0.771, 0.161, 0.258)
O (0.773, 0.342, 0.886)
O (0.775, 0.334, 0.126)
O (0.776, 0.165, 0.126)
O (0.777, 0.564, 0.255)
O (0.778, 0.936, 0.255)
O (0.785, 0.136, 0.507)
O (0.785, 0.363, 0.507)
O (0.785, 0.546, 0.503)
O (0.785, 0.954, 0.502)
O (0.792, 0.050, 0.189)
O (0.792, 0.450, 0.189)
O (0.828, 0.048, 0.411)
O (0.829, 0.452, 0.412)
O (0.845, 0.250, 0.565)
O (0.853, 0.250, 0.808)
O (0.869, 0.863, 0.801)
O (0.870, 0.637, 0.801)
O (0.886, 0.996, 0.797)
O (0.887, 0.504, 0.797)
O (0.890, 0.871, 0.577)
O (0.892, 0.628, 0.577)
O (0.902, 0.002, 0.595)
O (0.902, 0.497, 0.595)
O (0.913, 0.135, 0.608)
O (0.914, 0.127, 0.800)
O (0.914, 0.364, 0.608)
O (0.915, 0.372, 0.800)
O (0.919, 0.335, 0.417)
O (0.920, 0.165, 0.418)
O (0.927, 0.566, 0.415)
O (0.928, 0.934, 0.415)
O (0.935, 0.545, 0.181)
O (0.936, 0.359, 0.191)
O (0.936, 0.955, 0.181)
O (0.937, 0.141, 0.191)
O (0.937, 0.750, 0.611)
O (0.960, 0.750, 0.778)
O (0.979, 0.647, 0.692)
O (0.979, 0.852, 0.692)
O (0.986, 0.054, 0.701)
O (0.986, 0.446, 0.701)

Properties
Final energy = -7.904 eV/atom
Space group = P-1, No. 2

Below is crystalline Mg9Si5 at its relaxed geometry, with properties calculated at the PBE level.

abc: 7.410 7.564 11.572
angles: 82.70 76.14 60.84
Atoms (fractional coordinates):
Mg (0.000, 0.000, 0.000)
Mg (0.003, 0.380, 0.874)
Mg (0.077, 0.007, 0.660)
Mg (0.122, 0.474, 0.340)
Mg (0.231, 0.482, 0.036)
Mg (0.306, 0.776, 0.191)
Mg (0.390, 0.441, 0.699)
Mg (0.404, 0.195, 0.498)
Mg (0.452, 0.702, 0.873)
Mg (0.502, 0.113, 0.194)
Mg (0.553, 0.752, 0.593)
Mg (0.641, 0.703, 0.332)
Mg (0.657, 0.129, 0.871)
Mg (0.730, 0.732, 0.037)
Mg (0.798, 0.325, 0.490)
Mg (0.900, 0.927, 0.401)
Mg (0.985, 0.595, 0.625)
Mg (0.988, 0.257, 0.198)
Si (0.049, 0.727, 0.845)
Si (0.220, 0.037, 0.389)
Si (0.315, 0.620, 0.466)
Si (0.332, 0.067, 0.003)
Si (0.369, 0.076, 0.750)
Si (0.570, 0.383, 0.302)
Si (0.638, 0.404, 0.064)
Si (0.710, 0.006, 0.629)
Si (0.757, 0.401, 0.727)
Si (0.926, 0.791, 0.191)

Properties
Final energy = -2.963 eV/atom
Space group = P1, No. 1

Below is crystalline SrIBr at its relaxed geometry, with properties calculated at the PBE level.

abc: 8.169 5.132 11.031
angles: 90.00 90.00 90.00
Atoms (fractional coordinates):
Sr (0.220, 0.250, 0.079)
Sr (0.280, 0.750, 0.579)
Sr (0.720, 0.250, 0.421)
Sr (0.780, 0.750, 0.921)
I (0.133, 0.250, 0.390)
I (0.367, 0.750, 0.890)
I (0.633, 0.250, 0.110)
I (0.867, 0.750, 0.610)
Br (0.018, 0.750, 0.137)
Br (0.482, 0.250, 0.637)
Br (0.518, 0.750, 0.363)
Br (0.982, 0.250, 0.863)

Properties
Final energy = -3.508 eV/atom
Space group = Pnma, No. 62

Below is crystalline CeAl20V2 at its relaxed geometry, with properties calculated at the PBE level.

abc: 10.279 10.279 10.279
angles: 60.00 60.00 60.00
Atoms (fractional coordinates):
Ce (0.125, 0.125, 0.125)
Ce (0.875, 0.875, 0.875)
Al (0.000, 0.000, 0.000)
Al (0.000, 0.000, 0.500)
Al (0.000, 0.500, 0.000)
Al (0.056, 0.325, 0.325)
Al (0.056, 0.325, 0.793)
Al (0.056, 0.793, 0.325)
Al (0.207, 0.675, 0.675)
Al (0.207, 0.675, 0.944)
Al (0.207, 0.944, 0.675)
Al (0.238, 0.238, 0.512)
Al (0.238, 0.512, 0.238)
Al (0.238, 0.512, 0.512)
Al (0.325, 0.056, 0.325)
Al (0.325, 0.056, 0.793)
Al (0.325, 0.325, 0.056)
Al (0.325, 0.325, 0.793)
Al (0.325, 0.793, 0.056)
Al (0.325, 0.793, 0.325)
Al (0.488, 0.488, 0.762)
Al (0.488, 0.762, 0.488)
Al (0.488, 0.762, 0.762)
Al (0.500, 0.000, 0.000)
Al (0.512, 0.238, 0.238)
Al (0.512, 0.238, 0.512)
Al (0.512, 0.512, 0.238)
Al (0.675, 0.207, 0.675)
Al (0.675, 0.207, 0.944)
Al (0.675, 0.675, 0.207)
Al (0.675, 0.675, 0.944)
Al (0.675, 0.944, 0.207)
Al (0.675, 0.944, 0.675)
Al (0.762, 0.488, 0.488)
Al (0.762, 0.488, 0.762)
Al (0.762, 0.762, 0.488)
Al (0.793, 0.056, 0.325)
Al (0.793, 0.325, 0.056)
Al (0.793, 0.325, 0.325)
Al (0.944, 0.207, 0.675)
Al (0.944, 0.675, 0.207)
Al (0.944, 0.675, 0.675)
V (0.000, 0.500, 0.500)
V (0.500, 0.000, 0.500)
V (0.500, 0.500, 0.000)
V (0.500, 0.500, 0.500)

Properties
Final energy = -4.530 eV/atom
Space group = Fd-3m, No. 227